No. 1
The following is a GGA+U calculation of Mn2InC10IO10 after structural relaxation, from the Materials Project database. Values from VASP.

```
&SYSTEM
  ibrav = 0, nat = 48, ntyp = 5
/
ATOMIC_SPECIES
Mn 54.94 Mn.upf
In 114.82 In.upf
C 12.01 C.upf
I 126.90 I.upf
O 16.00 O.upf
CELL_PARAMETERS angstrom
9.159 0.000 0.000
-0.525 10.041 0.000
-0.447 -4.835 9.376
ATOMIC_POSITIONS crystal
Mn 0.243 0.244 0.409
Mn 0.249 0.718 0.070
Mn 0.751 0.282 0.930
Mn 0.757 0.756 0.591
In 0.160 0.000 0.157
In 0.840 0.000 0.843
C 0.046 0.286 0.431
C 0.097 0.703 0.175
C 0.118 0.672 0.913
C 0.208 0.107 0.480
C 0.265 0.353 0.307
C 0.304 0.527 0.998
C 0.310 0.400 0.578
C 0.376 0.787 0.234
C 0.391 0.785 0.986
C 0.430 0.181 0.368
C 0.570 0.819 0.632
C 0.609 0.215 0.014
C 0.624 0.213 0.766
C 0.690 0.600 0.422
C 0.696 0.473 0.002
C 0.735 0.647 0.693
C 0.792 0.893 0.520
C 0.882 0.328 0.087
C 0.903 0.297 0.825
C 0.954 0.714 0.569
I 0.164 0.048 0.899
I 0.836 0.952 0.101
O 0.003 0.694 0.241
O 0.039 0.638 0.813
O 0.074 0.685 0.550
O 0.186 0.023 0.525
O 0.283 0.426 0.250
O 0.341 0.406 0.949
O 0.356 0.501 0.685
O 0.452 0.855 0.654
O 0.455 0.826 0.335
O 0.480 0.823 0.932
O 0.520 0.177 0.068
O 0.545 0.174 0.665
O 0.548 0.145 0.346
O 0.644 0.499 0.315
O 0.659 0.594 0.051
O 0.717 0.574 0.750
O 0.814 0.977 0.475
O 0.926 0.315 0.450
O 0.961 0.362 0.187
O 0.997 0.306 0.759
```

Computed properties:
DFT total energy in eV for the cell shown: -345.4
Space-group type: P-1
Total magnetization in μB per formula unit: 0.0
MP2020-corrected energy in eV/atom: -7.62

---

No. 2
The following is a GGA+U calculation of MnC4IO4 after structural relaxation, from the Materials Project database. Values from VASP.

```
&SYSTEM
  ibrav = 0, nat = 80, ntyp = 4
/
ATOMIC_SPECIES
Mn 54.94 Mn.upf
C 12.01 C.upf
I 126.90 I.upf
O 16.00 O.upf
CELL_PARAMETERS angstrom
9.906 0.000 0.000
0.000 12.424 0.000
-4.205 0.000 12.503
ATOMIC_POSITIONS crystal
Mn 0.103 0.132 0.313
Mn 0.103 0.368 0.813
Mn 0.329 0.632 0.292
Mn 0.329 0.868 0.792
Mn 0.671 0.132 0.208
Mn 0.671 0.368 0.708
Mn 0.897 0.632 0.187
Mn 0.897 0.868 0.687
C 0.093 0.043 0.194
C 0.093 0.457 0.694
C 0.101 0.222 0.427
C 0.101 0.278 0.927
C 0.239 0.045 0.403
C 0.239 0.455 0.903
C 0.242 0.214 0.287
C 0.242 0.286 0.787
C 0.317 0.540 0.402
C 0.317 0.960 0.902
C 0.324 0.724 0.177
C 0.324 0.776 0.677
C 0.463 0.716 0.387
C 0.463 0.784 0.887
C 0.465 0.547 0.266
C 0.465 0.953 0.766
C 0.535 0.047 0.234
C 0.535 0.453 0.734
C 0.537 0.216 0.113
C 0.537 0.284 0.613
C 0.676 0.224 0.323
C 0.676 0.276 0.823
C 0.683 0.040 0.098
C 0.683 0.460 0.598
C 0.758 0.714 0.213
C 0.758 0.786 0.713
C 0.761 0.545 0.097
C 0.761 0.955 0.597
C 0.899 0.722 0.073
C 0.899 0.778 0.573
C 0.907 0.543 0.306
C 0.907 0.957 0.806
I 0.112 0.748 0.822
I 0.112 0.752 0.322
I 0.114 0.514 0.154
I 0.114 0.986 0.654
I 0.886 0.014 0.346
I 0.886 0.486 0.846
I 0.888 0.248 0.678
I 0.888 0.252 0.178
O 0.089 0.511 0.622
O 0.089 0.989 0.122
O 0.105 0.221 0.998
O 0.105 0.279 0.498
O 0.313 0.017 0.971
O 0.313 0.483 0.471
O 0.325 0.719 0.608
O 0.325 0.781 0.108
O 0.327 0.509 0.960
O 0.327 0.991 0.460
O 0.332 0.236 0.772
O 0.332 0.264 0.272
O 0.448 0.506 0.751
O 0.448 0.994 0.251
O 0.451 0.233 0.552
O 0.451 0.267 0.052
O 0.549 0.733 0.948
O 0.549 0.767 0.448
O 0.552 0.006 0.749
O 0.552 0.494 0.249
O 0.668 0.736 0.728
O 0.668 0.764 0.228
O 0.673 0.009 0.540
O 0.673 0.491 0.040
O 0.675 0.219 0.892
O 0.675 0.281 0.392
O 0.687 0.517 0.529
O 0.687 0.983 0.029
O 0.895 0.721 0.502
O 0.895 0.779 0.002
O 0.911 0.011 0.878
O 0.911 0.489 0.378
```

Computed properties:
DFT total energy in eV for the cell shown: -561.6
Space-group type: P2_1/c
Total magnetization in μB per formula unit: 0.0
MP2020-corrected energy in eV/atom: -7.46

---

No. 3
The following is a GGA+U calculation of MoC4IO4 after structural relaxation, from the Materials Project database. Values from VASP.

```
&SYSTEM
  ibrav = 0, nat = 40, ntyp = 4
/
ATOMIC_SPECIES
Mo 95.94 Mo.upf
C 12.01 C.upf
I 126.90 I.upf
O 16.00 O.upf
CELL_PARAMETERS angstrom
9.392 0.000 0.000
4.672 8.639 0.000
1.296 -0.318 10.862
ATOMIC_POSITIONS crystal
Mo 0.197 0.365 0.019
Mo 0.198 0.871 0.518
Mo 0.802 0.129 0.482
Mo 0.803 0.635 0.981
C 0.123 0.704 0.559
C 0.170 0.459 0.195
C 0.225 0.277 0.841
C 0.265 0.043 0.474
C 0.314 0.155 0.093
C 0.342 0.806 0.657
C 0.396 0.708 0.414
C 0.423 0.342 0.975
C 0.577 0.658 0.025
C 0.604 0.292 0.586
C 0.658 0.194 0.343
C 0.686 0.845 0.907
C 0.735 0.957 0.526
C 0.775 0.723 0.159
C 0.830 0.541 0.805
C 0.877 0.296 0.441
I 0.052 0.933 0.291
I 0.090 0.675 0.928
I 0.910 0.325 0.072
I 0.948 0.067 0.709
O 0.089 0.607 0.582
O 0.168 0.504 0.291
O 0.251 0.224 0.743
O 0.309 0.133 0.447
O 0.387 0.035 0.136
O 0.428 0.765 0.733
O 0.445 0.678 0.051
O 0.488 0.387 0.643
O 0.512 0.613 0.357
O 0.555 0.322 0.949
O 0.572 0.235 0.267
O 0.613 0.965 0.864
O 0.691 0.867 0.553
O 0.749 0.776 0.257
O 0.832 0.496 0.709
O 0.911 0.393 0.418
```

Computed properties:
DFT total energy in eV for the cell shown: -281.4
Space-group type: P-1
Total magnetization in μB per formula unit: 0.0
MP2020-corrected energy in eV/atom: -7.63

---

No. 4
The following is a GGA+U calculation of KLi2MnPCO7 after structural relaxation, from the Materials Project database. Values from VASP.

```
&SYSTEM
  ibrav = 0, nat = 26, ntyp = 6
/
ATOMIC_SPECIES
K 39.10 K.upf
Li 6.94 Li.upf
Mn 54.94 Mn.upf
P 30.97 P.upf
C 12.01 C.upf
O 16.00 O.upf
CELL_PARAMETERS angstrom
5.557 0.000 0.000
0.000 6.867 0.000
-0.363 0.000 8.828
ATOMIC_POSITIONS crystal
K 0.221 0.000 0.228
K 0.779 0.500 0.772
Li 0.206 0.546 0.200
Li 0.341 0.896 0.852
Li 0.659 0.396 0.148
Li 0.794 0.046 0.800
Mn 0.222 0.196 0.623
Mn 0.778 0.696 0.377
P 0.284 0.687 0.570
P 0.716 0.187 0.430
C 0.284 0.236 0.944
C 0.716 0.736 0.056
O 0.063 0.179 0.917
O 0.162 0.681 0.407
O 0.196 0.870 0.658
O 0.218 0.505 0.663
O 0.346 0.329 0.066
O 0.440 0.200 0.443
O 0.447 0.188 0.846
O 0.553 0.688 0.154
O 0.560 0.700 0.557
O 0.654 0.829 0.934
O 0.782 0.005 0.337
O 0.804 0.370 0.342
O 0.838 0.181 0.593
O 0.937 0.679 0.083
```

Computed properties:
DFT total energy in eV for the cell shown: -175.4
Space-group type: P2_1
Total magnetization in μB per formula unit: 5.0
MP2020-corrected energy in eV/atom: -7.24

---

No. 5
The following is a GGA+U calculation of KLiMnPCO7 after structural relaxation, from the Materials Project database. Values from VASP.

```
&SYSTEM
  ibrav = 0, nat = 24, ntyp = 6
/
ATOMIC_SPECIES
K 39.10 K.upf
Li 6.94 Li.upf
Mn 54.94 Mn.upf
P 30.97 P.upf
C 12.01 C.upf
O 16.00 O.upf
CELL_PARAMETERS angstrom
5.396 0.000 0.000
0.000 6.317 0.000
-0.284 0.000 9.989
ATOMIC_POSITIONS crystal
K 0.235 0.000 0.257
K 0.765 0.500 0.743
Li 0.230 0.490 0.384
Li 0.770 0.990 0.616
Mn 0.226 0.859 0.862
Mn 0.774 0.359 0.138
P 0.294 0.353 0.942
P 0.706 0.853 0.058
C 0.266 0.810 0.597
C 0.734 0.310 0.403
O 0.072 0.844 0.674
O 0.148 0.349 0.070
O 0.229 0.753 0.476
O 0.233 0.164 0.845
O 0.237 0.548 0.849
O 0.420 0.854 0.027
O 0.481 0.834 0.655
O 0.519 0.334 0.345
O 0.580 0.354 0.973
O 0.763 0.048 0.151
O 0.767 0.664 0.155
O 0.771 0.253 0.524
O 0.852 0.849 0.930
O 0.928 0.344 0.326
```

Computed properties:
DFT total energy in eV for the cell shown: -166.2
Largest piezoelectric modulus in C/m²: 0.31
Space-group type: P2_1
Total magnetization in μB per formula unit: 4.0
MP2020-corrected energy in eV/atom: -7.47

---

No. 6
The following is a GGA+U calculation of K2LiMnPCO7 after structural relaxation, from the Materials Project database. Values from VASP.

```
&SYSTEM
  ibrav = 0, nat = 52, ntyp = 6
/
ATOMIC_SPECIES
O 16.00 O.upf
Mn 54.94 Mn.upf
P 30.97 P.upf
C 12.01 C.upf
K 39.10 K.upf
Li 6.94 Li.upf
CELL_PARAMETERS angstrom
-4.214 -1.691 -7.653
-4.115 7.028 3.582
2.337 8.628 -6.713
ATOMIC_POSITIONS crystal
O 0.524 0.775 0.561
O 0.182 0.252 0.341
Mn 0.179 0.428 0.626
O 0.997 0.568 0.660
P 0.022 0.272 0.423
C 0.532 0.782 0.932
O 0.318 0.248 0.659
K 0.985 0.003 0.263
Li 0.723 0.973 0.995
O 0.636 0.386 0.547
Li 0.277 0.027 0.005
O 0.424 0.674 0.909
K 0.753 0.235 0.263
O 0.160 0.410 0.832
O 0.576 0.326 0.091
C 0.468 0.218 0.068
O 0.682 0.752 0.341
P 0.522 0.772 0.423
O 0.503 0.932 0.340
O 0.864 0.114 0.453
K 0.515 0.497 0.737
Li 0.223 0.473 0.995
C 0.968 0.718 0.068
O 0.660 0.910 0.832
O 0.076 0.826 0.091
P 0.978 0.728 0.577
O 0.022 0.272 0.052
O 0.340 0.090 0.168
O 0.136 0.886 0.547
O 0.522 0.772 0.052
K 0.253 0.735 0.263
Mn 0.822 0.571 0.375
Mn 0.322 0.072 0.374
O 0.975 0.725 0.439
O 0.840 0.590 0.168
K 0.485 0.503 0.263
Mn 0.678 0.928 0.626
O 0.364 0.614 0.453
C 0.032 0.282 0.932
O 0.478 0.228 0.948
K 0.015 0.997 0.737
O 0.025 0.275 0.561
K 0.747 0.265 0.737
K 0.247 0.765 0.737
Li 0.777 0.527 0.005
O 0.497 0.068 0.660
O 0.002 0.432 0.340
O 0.924 0.174 0.909
O 0.978 0.728 0.948
O 0.818 0.748 0.659
O 0.476 0.225 0.439
P 0.478 0.228 0.577
```

Computed properties:
DFT total energy in eV for the cell shown: -346.5
Total magnetization in μB per formula unit: 0.0
MP2020-corrected energy in eV/atom: -7.16

---

No. 7
The following is a GGA+U calculation of K2MnPCO7 after structural relaxation, from the Materials Project database. Values from VASP.

```
&SYSTEM
  ibrav = 0, nat = 48, ntyp = 5
/
ATOMIC_SPECIES
O 16.00 O.upf
Mn 54.94 Mn.upf
C 12.01 C.upf
P 30.97 P.upf
K 39.10 K.upf
CELL_PARAMETERS angstrom
0.106 0.000 5.416
9.547 0.000 -0.051
0.001 14.533 0.000
ATOMIC_POSITIONS crystal
O 0.298 0.022 0.625
O 0.770 0.340 0.713
Mn 0.779 0.362 0.375
C 0.271 0.893 0.625
O 0.770 0.340 0.037
P 0.277 0.574 0.875
K 0.749 0.754 0.764
O 0.702 0.978 0.875
O 0.545 0.200 0.875
K 0.251 0.246 0.014
K 0.251 0.246 0.736
O 0.559 0.525 0.875
O 0.116 0.439 0.875
K 0.749 0.754 0.486
O 0.230 0.660 0.963
K 0.251 0.246 0.514
O 0.298 0.022 0.125
O 0.230 0.660 0.787
O 0.230 0.660 0.287
O 0.056 0.829 0.625
O 0.702 0.978 0.375
O 0.230 0.660 0.463
O 0.441 0.475 0.625
O 0.770 0.340 0.213
K 0.251 0.246 0.236
O 0.884 0.561 0.625
C 0.729 0.107 0.875
O 0.455 0.800 0.625
O 0.056 0.829 0.125
O 0.455 0.800 0.125
O 0.770 0.340 0.537
Mn 0.779 0.362 0.875
P 0.723 0.426 0.625
K 0.749 0.754 0.986
O 0.559 0.525 0.375
Mn 0.221 0.638 0.125
P 0.723 0.426 0.125
O 0.441 0.475 0.125
C 0.729 0.107 0.375
O 0.944 0.171 0.375
K 0.749 0.754 0.264
O 0.884 0.561 0.125
O 0.116 0.439 0.375
P 0.277 0.574 0.375
O 0.545 0.200 0.375
C 0.271 0.893 0.125
O 0.944 0.171 0.875
Mn 0.221 0.638 0.625
```

Computed properties:
DFT total energy in eV for the cell shown: -328.4
Total magnetization in μB per formula unit: 0.0
MP2020-corrected energy in eV/atom: -7.38

---

No. 8
The following is a GGA+U calculation of K3MnPCO7 after structural relaxation, from the Materials Project database. Values from VASP.

```
&SYSTEM
  ibrav = 0, nat = 26, ntyp = 5
/
ATOMIC_SPECIES
K 39.10 K.upf
Mn 54.94 Mn.upf
P 30.97 P.upf
C 12.01 C.upf
O 16.00 O.upf
CELL_PARAMETERS angstrom
5.672 0.000 0.000
0.000 7.048 0.000
-0.160 0.000 9.765
ATOMIC_POSITIONS crystal
K 0.238 0.250 0.421
K 0.259 0.509 0.769
K 0.259 0.991 0.769
K 0.741 0.009 0.231
K 0.741 0.491 0.231
K 0.762 0.750 0.579
Mn 0.225 0.750 0.136
Mn 0.775 0.250 0.864
P 0.285 0.250 0.078
P 0.715 0.750 0.922
C 0.258 0.750 0.418
C 0.742 0.250 0.582
O 0.056 0.750 0.352
O 0.124 0.250 0.947
O 0.239 0.070 0.167
O 0.239 0.430 0.167
O 0.267 0.750 0.551
O 0.450 0.750 0.966
O 0.451 0.750 0.346
O 0.549 0.250 0.654
O 0.550 0.250 0.034
O 0.733 0.250 0.449
O 0.761 0.570 0.833
O 0.761 0.930 0.833
O 0.876 0.750 0.053
O 0.944 0.250 0.648
```

Computed properties:
DFT total energy in eV for the cell shown: -172.4
Space-group type: P2_1/m
Total magnetization in μB per formula unit: 5.0
MP2020-corrected energy in eV/atom: -7.13

---

No. 9
The following is a GGA+U calculation of K2Mn3V2CO11 after structural relaxation, from the Materials Project database. Values from VASP.

```
&SYSTEM
  ibrav = 0, nat = 38, ntyp = 5
/
ATOMIC_SPECIES
K 39.10 K.upf
Mn 54.94 Mn.upf
V 50.94 V.upf
C 12.01 C.upf
O 16.00 O.upf
CELL_PARAMETERS angstrom
5.283 0.000 0.000
-2.641 4.575 0.000
0.000 0.000 22.732
ATOMIC_POSITIONS crystal
K 0.333 0.667 0.158
K 0.333 0.667 0.342
K 0.667 0.333 0.658
K 0.667 0.333 0.842
Mn 0.000 0.000 0.250
Mn 0.000 0.000 0.750
Mn 0.333 0.667 0.505
Mn 0.333 0.667 0.995
Mn 0.667 0.333 0.005
Mn 0.667 0.333 0.495
V 0.000 0.000 0.080
V 0.000 0.000 0.420
V 0.000 0.000 0.580
V 0.000 0.000 0.920
C 0.333 0.667 0.750
C 0.667 0.333 0.250
O 0.000 0.000 0.156
O 0.000 0.000 0.344
O 0.000 0.000 0.656
O 0.000 0.000 0.844
O 0.011 0.689 0.055
O 0.011 0.689 0.445
O 0.069 0.444 0.750
O 0.311 0.322 0.055
O 0.311 0.322 0.445
O 0.322 0.011 0.555
O 0.322 0.011 0.945
O 0.375 0.931 0.750
O 0.444 0.375 0.250
O 0.556 0.625 0.750
O 0.625 0.069 0.250
O 0.678 0.989 0.055
O 0.678 0.989 0.445
O 0.689 0.678 0.555
O 0.689 0.678 0.945
O 0.931 0.556 0.250
O 0.989 0.311 0.555
O 0.989 0.311 0.945
```

Computed properties:
DFT total energy in eV for the cell shown: -277.6
Space-group type: P6_3/m
Total magnetization in μB per formula unit: 15.0
MP2020-corrected energy in eV/atom: -8.15